Sc2CoOs after structural relaxation. Source: the Materials Project, functional r2SCAN.

The calculation puts the calculated formation energy at -0.340 eV/atom. The total moment is 0.000 μB per atom.

It has space group Fm-3m (No. 225), with a = 6.3314 Å, b = 6.3314 Å, c = 6.3314 Å, α = 90.00°, β = 90.00° and γ = 90.00°. The distinct sites, in fractional coordinates, are Sc at (0.2500, 0.2500, 0.2500), Co at (0.0000, 0.0000, 0.0000) and Os at (0.0000, 0.0000, 0.5000).